No. 1
Ca3Sb2: optimized geometry, r²SCAN.

Structure (CIF):
```
data_Ca3Sb2
_chemical_formula_sum 'Ca3 Sb2'
_space_group_name_H-M_alt 'P 1'
_space_group_IT_number 1
_space_group_name_Hall 'P 1'
_cell_length_a 5.7742
_cell_length_b 5.7742
_cell_length_c 5.7742
_cell_angle_alpha 90.00
_cell_angle_beta 90.00
_cell_angle_gamma 90.00
loop_
_atom_site_label
_atom_site_type_symbol
_atom_site_fract_x
_atom_site_fract_y
_atom_site_fract_z
Ca1 Ca 0.0000 0.5000 0.5000
Ca2 Ca 0.5000 0.0000 0.5000
Ca3 Ca 0.5000 0.5000 0.0000
Sb1 Sb 0.0000 0.0000 0.0000
Sb2 Sb 0.5000 0.5000 0.5000
```

Calculated values
Symmetry: No. 221
E in Ha/atom: -0.5607
Calculated formation energy in eV/atom: -0.75



No. 2
Ca5Sb3: optimized geometry, r²SCAN.

Structure (CIF):
```
data_Ca5Sb3
_chemical_formula_sum 'Ca20 Sb12'
_space_group_name_H-M_alt 'P 1'
_space_group_IT_number 1
_space_group_name_Hall 'P 1'
_cell_length_a 8.3005
_cell_length_b 9.5749
_cell_length_c 12.6083
_cell_angle_alpha 90.00
_cell_angle_beta 90.00
_cell_angle_gamma 90.00
loop_
_atom_site_label
_atom_site_type_symbol
_atom_site_fract_x
_atom_site_fract_y
_atom_site_fract_z
Ca1 Ca 0.3084 0.9579 0.9222
Ca2 Ca 0.8084 0.0421 0.5778
Ca3 Ca 0.6916 0.4579 0.0778
Ca4 Ca 0.1916 0.5421 0.4222
Ca5 Ca 0.6916 0.0421 0.0778
Ca6 Ca 0.1916 0.9579 0.4222
Ca7 Ca 0.3084 0.5421 0.9222
Ca8 Ca 0.8084 0.4579 0.5778
Ca9 Ca 0.6815 0.7500 0.7723
Ca10 Ca 0.1815 0.2500 0.7277
Ca11 Ca 0.3185 0.2500 0.2277
Ca12 Ca 0.8185 0.7500 0.2723
Ca13 Ca 0.1537 0.7500 0.7078
Ca14 Ca 0.6537 0.2500 0.7922
Ca15 Ca 0.8463 0.2500 0.2922
Ca16 Ca 0.3463 0.7500 0.2078
Ca17 Ca 0.5350 0.7500 0.4949
Ca18 Ca 0.0350 0.2500 0.0051
Ca19 Ca 0.4650 0.2500 0.5051
Ca20 Ca 0.9650 0.7500 0.9949
Sb1 Sb 0.9382 0.0120 0.8290
Sb2 Sb 0.4382 0.9880 0.6710
Sb3 Sb 0.0618 0.5120 0.1710
Sb4 Sb 0.5618 0.4880 0.3290
Sb5 Sb 0.0618 0.9880 0.1710
Sb6 Sb 0.5618 0.0120 0.3290
Sb7 Sb 0.9382 0.4880 0.8290
Sb8 Sb 0.4382 0.5120 0.6710
Sb9 Sb 0.5769 0.7500 0.0156
Sb10 Sb 0.0769 0.2500 0.4844
Sb11 Sb 0.4231 0.2500 0.9844
Sb12 Sb 0.9231 0.7500 0.5156
```

Calculated values
Symmetry: No. 62
E in Ha/atom: -0.5591
Calculated formation energy in eV/atom: -1.18



No. 3
CaZn2Sb2: optimized geometry, r²SCAN.

Structure (CIF):
```
data_CaZn2Sb2
_chemical_formula_sum 'Ca1 Zn2 Sb2'
_space_group_name_H-M_alt 'P 1'
_space_group_IT_number 1
_space_group_name_Hall 'P 1'
_cell_length_a 4.4494
_cell_length_b 4.4494
_cell_length_c 7.4642
_cell_angle_alpha 90.00
_cell_angle_beta 90.00
_cell_angle_gamma 120.00
loop_
_atom_site_label
_atom_site_type_symbol
_atom_site_fract_x
_atom_site_fract_y
_atom_site_fract_z
Ca1 Ca 0.0000 0.0000 0.0000
Zn1 Zn 0.3333 0.6667 0.6339
Zn2 Zn 0.6667 0.3333 0.3661
Sb1 Sb 0.3333 0.6667 0.2592
Sb2 Sb 0.6667 0.3333 0.7408
```

Calculated values
Symmetry: No. 164
E in Ha/atom: -0.5809
Calculated formation energy in eV/atom: -0.55



No. 4
Ca9Zn4Sb9: optimized geometry, r²SCAN.

Structure (CIF):
```
data_Ca9Zn4Sb9
_chemical_formula_sum 'Ca18 Zn8 Sb18'
_space_group_name_H-M_alt 'P 1'
_space_group_IT_number 1
_space_group_name_Hall 'P 1'
_cell_length_a 4.5353
_cell_length_b 12.4903
_cell_length_c 21.8494
_cell_angle_alpha 90.00
_cell_angle_beta 90.00
_cell_angle_gamma 90.00
loop_
_atom_site_label
_atom_site_type_symbol
_atom_site_fract_x
_atom_site_fract_y
_atom_site_fract_z
Ca1 Ca 0.5000 0.0000 0.0000
Ca2 Ca 0.5000 0.5000 0.5000
Ca3 Ca 0.0000 0.8663 0.8626
Ca4 Ca 0.0000 0.1337 0.1374
Ca5 Ca 0.0000 0.3663 0.6374
Ca6 Ca 0.0000 0.6337 0.3626
Ca7 Ca 0.0000 0.5643 0.9090
Ca8 Ca 0.0000 0.4357 0.0910
Ca9 Ca 0.0000 0.0643 0.5910
Ca10 Ca 0.0000 0.9357 0.4090
Ca11 Ca 0.0000 0.6223 0.7369
Ca12 Ca 0.0000 0.3777 0.2631
Ca13 Ca 0.0000 0.1223 0.7631
Ca14 Ca 0.0000 0.8777 0.2369
Ca15 Ca 0.5000 0.7873 0.6024
Ca16 Ca 0.5000 0.2127 0.3976
Ca17 Ca 0.5000 0.2873 0.8976
Ca18 Ca 0.5000 0.7127 0.1024
Zn1 Zn 0.5000 0.7230 0.9541
Zn2 Zn 0.5000 0.2770 0.0459
Zn3 Zn 0.5000 0.2230 0.5459
Zn4 Zn 0.5000 0.7770 0.4541
Zn5 Zn 0.5000 0.8831 0.7629
Zn6 Zn 0.5000 0.1169 0.2371
Zn7 Zn 0.5000 0.3831 0.7371
Zn8 Zn 0.5000 0.6169 0.2629
Sb1 Sb 0.5000 0.5000 0.0000
Sb2 Sb 0.5000 0.0000 0.5000
Sb3 Sb 0.0000 0.6949 0.5048
Sb4 Sb 0.0000 0.3051 0.4952
Sb5 Sb 0.0000 0.1949 0.9952
Sb6 Sb 0.0000 0.8051 0.0048
Sb7 Sb 0.0000 0.8802 0.6956
Sb8 Sb 0.0000 0.1198 0.3044
Sb9 Sb 0.0000 0.3802 0.8044
Sb10 Sb 0.0000 0.6198 0.1956
Sb11 Sb 0.5000 0.5403 0.6472
Sb12 Sb 0.5000 0.4597 0.3528
Sb13 Sb 0.5000 0.0403 0.8528
Sb14 Sb 0.5000 0.9597 0.1472
Sb15 Sb 0.5000 0.6923 0.8325
Sb16 Sb 0.5000 0.3077 0.1675
Sb17 Sb 0.5000 0.1923 0.6675
Sb18 Sb 0.5000 0.8077 0.3325
```

Calculated values
Symmetry: No. 55
E in Ha/atom: -0.5871
Calculated formation energy in eV/atom: -0.96



Q: What is the calculated formation energy in the third record?
A: -0.55 eV/atom



Q: Look up the E of the fourth one.
A: -0.5871 Ha/atom



Q: Among the records above, which one has the highest E?
A: Ca5Sb3